1.
MnH8SN2O4F3 | PBE with a Hubbard U | relaxed

Properties
**E**: -5.46 eV per atom
**Density**: 2.2 g/cm3
**SG**: No. 14
**Energy of formation**: -137.0 kJ/mol of atoms
**Total magnetization**: 0.21 μB/atom

a = 11.327 Å, b = 7.308 Å, c = 8.870 Å
α = 89.40°, β = 90.00°, γ = 90.00°
Element x y z (fractional)
Mn (0.000, 0.500, 0.000)
Mn (0.500, 0.500, 0.500)
Mn (0.000, 0.000, 0.000)
Mn (0.500, 0.000, 0.500)
H (0.274, 0.793, 0.315)
H (0.774, 0.207, 0.185)
H (0.726, 0.207, 0.685)
H (0.226, 0.793, 0.815)
H (0.163, 0.941, 0.345)
H (0.663, 0.059, 0.155)
H (0.837, 0.059, 0.655)
H (0.337, 0.941, 0.845)
H (0.161, 0.735, 0.431)
H (0.661, 0.265, 0.069)
H (0.839, 0.265, 0.569)
H (0.339, 0.735, 0.931)
H (0.138, 0.755, 0.242)
H (0.638, 0.245, 0.258)
H (0.862, 0.245, 0.758)
H (0.362, 0.755, 0.742)
H (0.343, 0.430, 0.157)
H (0.843, 0.570, 0.343)
H (0.657, 0.570, 0.843)
H (0.157, 0.430, 0.657)
H (0.370, 0.240, 0.259)
H (0.870, 0.760, 0.241)
H (0.630, 0.760, 0.741)
H (0.130, 0.240, 0.759)
H (0.230, 0.290, 0.201)
H (0.730, 0.710, 0.299)
H (0.770, 0.710, 0.799)
H (0.270, 0.290, 0.701)
H (0.333, 0.226, 0.073)
H (0.833, 0.774, 0.427)
H (0.667, 0.774, 0.927)
H (0.167, 0.226, 0.573)
S (0.001, 0.251, 0.299)
S (0.501, 0.749, 0.201)
S (0.999, 0.749, 0.701)
S (0.499, 0.251, 0.799)
N (0.184, 0.804, 0.332)
N (0.684, 0.196, 0.168)
N (0.816, 0.196, 0.668)
N (0.316, 0.804, 0.832)
N (0.319, 0.295, 0.173)
N (0.819, 0.705, 0.327)
N (0.681, 0.705, 0.827)
N (0.181, 0.295, 0.673)
O (0.443, 0.893, 0.297)
O (0.943, 0.107, 0.203)
O (0.557, 0.107, 0.703)
O (0.057, 0.893, 0.797)
O (0.058, 0.394, 0.198)
O (0.558, 0.606, 0.302)
O (0.942, 0.606, 0.802)
O (0.442, 0.394, 0.698)
O (0.908, 0.337, 0.391)
O (0.408, 0.663, 0.109)
O (0.092, 0.663, 0.609)
O (0.592, 0.337, 0.891)
O (0.096, 0.169, 0.390)
O (0.596, 0.831, 0.110)
O (0.904, 0.831, 0.610)
O (0.404, 0.169, 0.890)
F (0.344, 0.524, 0.446)
F (0.844, 0.476, 0.054)
F (0.656, 0.476, 0.554)
F (0.156, 0.524, 0.946)
F (0.157, 0.029, 0.047)
F (0.657, 0.971, 0.453)
F (0.843, 0.971, 0.953)
F (0.343, 0.029, 0.547)
F (0.003, 0.752, 0.099)
F (0.503, 0.248, 0.401)
F (0.997, 0.248, 0.901)
F (0.497, 0.752, 0.599)

=====

2.
Na7Mn5P3H6O15F13 | PBE with a Hubbard U | relaxed

Properties
**E**: -5.86 eV per atom
**Density**: 2.9 g/cm3
**SG**: No. 15
**Energy of formation**: -238.2 kJ/mol of atoms
**Total magnetization**: 0.41 μB/atom

a = 10.796 Å, b = 10.755 Å, c = 23.234 Å
α = 90.00°, β = 88.77°, γ = 119.88°
Element x y z (fractional)
Na (0.000, 0.000, 0.750)
Na (0.000, 0.000, 0.250)
Na (0.000, 0.000, 0.500)
Na (0.000, 0.000, 0.000)
Na (0.379, 0.000, 0.750)
Na (0.000, 0.376, 0.750)
Na (0.621, 0.621, 0.750)
Na (0.379, 0.379, 0.250)
Na (0.621, 0.000, 0.250)
Na (0.000, 0.624, 0.250)
Na (0.670, 0.636, 0.508)
Na (0.362, 0.036, 0.506)
Na (0.965, 0.331, 0.506)
Na (0.670, 0.035, 0.008)
Na (0.965, 0.634, 0.006)
Na (0.362, 0.326, 0.006)
Na (0.330, 0.364, 0.492)
Na (0.638, 0.964, 0.494)
Na (0.035, 0.669, 0.494)
Na (0.330, 0.965, 0.992)
Na (0.035, 0.366, 0.994)
Na (0.638, 0.674, 0.994)
Na (0.000, 0.688, 0.750)
Na (0.312, 0.313, 0.749)
Na (0.688, 0.001, 0.751)
Na (0.000, 0.312, 0.250)
Na (0.688, 0.687, 0.251)
Na (0.312, 0.999, 0.249)
Mn (0.883, 0.758, 0.626)
Mn (0.243, 0.126, 0.625)
Mn (0.875, 0.116, 0.625)
Mn (0.883, 0.126, 0.126)
Mn (0.875, 0.759, 0.125)
Mn (0.243, 0.117, 0.125)
Mn (0.117, 0.242, 0.374)
Mn (0.757, 0.874, 0.375)
Mn (0.125, 0.884, 0.375)
Mn (0.117, 0.874, 0.874)
Mn (0.125, 0.241, 0.875)
Mn (0.757, 0.883, 0.875)
Mn (0.337, 0.671, 0.719)
Mn (0.337, 0.666, 0.219)
Mn (0.663, 0.329, 0.281)
Mn (0.663, 0.334, 0.781)
Mn (0.331, 0.663, 0.533)
Mn (0.331, 0.668, 0.033)
Mn (0.669, 0.337, 0.467)
Mn (0.669, 0.332, 0.967)
P (0.207, 0.810, 0.626)
P (0.185, 0.396, 0.625)
P (0.604, 0.796, 0.626)
P (0.207, 0.398, 0.126)
P (0.604, 0.808, 0.126)
P (0.185, 0.789, 0.125)
P (0.793, 0.190, 0.374)
P (0.815, 0.604, 0.375)
P (0.396, 0.204, 0.374)
P (0.793, 0.602, 0.874)
P (0.396, 0.192, 0.874)
P (0.815, 0.211, 0.875)
H (0.804, 0.485, 0.587)
H (0.517, 0.320, 0.588)
H (0.682, 0.201, 0.589)
H (0.804, 0.319, 0.087)
H (0.682, 0.482, 0.089)
H (0.517, 0.197, 0.088)
H (0.196, 0.515, 0.413)
H (0.483, 0.680, 0.412)
H (0.318, 0.799, 0.411)
H (0.196, 0.681, 0.913)
H (0.318, 0.518, 0.911)
H (0.483, 0.803, 0.912)
H (0.802, 0.482, 0.656)
H (0.514, 0.320, 0.657)
H (0.679, 0.197, 0.657)
H (0.802, 0.320, 0.156)
H (0.679, 0.482, 0.157)
H (0.514, 0.194, 0.157)
H (0.198, 0.518, 0.344)
H (0.486, 0.680, 0.343)
H (0.321, 0.803, 0.343)
H (0.198, 0.680, 0.844)
H (0.321, 0.518, 0.843)
H (0.486, 0.806, 0.843)
O (0.267, 0.965, 0.602)
O (0.036, 0.298, 0.599)
O (0.699, 0.733, 0.603)
O (0.267, 0.303, 0.102)
O (0.699, 0.966, 0.103)
O (0.036, 0.738, 0.099)
O (0.733, 0.035, 0.398)
O (0.964, 0.702, 0.401)
O (0.301, 0.267, 0.397)
O (0.733, 0.697, 0.898)
O (0.301, 0.034, 0.897)
O (0.964, 0.262, 0.901)
O (0.055, 0.758, 0.652)
O (0.243, 0.299, 0.649)
O (0.703, 0.945, 0.653)
O (0.055, 0.297, 0.152)
O (0.703, 0.758, 0.153)
O (0.243, 0.944, 0.149)
O (0.945, 0.242, 0.348)
O (0.757, 0.701, 0.351)
O (0.297, 0.055, 0.347)
O (0.945, 0.703, 0.848)
O (0.297, 0.242, 0.847)
O (0.757, 0.056, 0.851)
O (0.304, 0.812, 0.675)
O (0.179, 0.486, 0.674)
O (0.505, 0.698, 0.676)
O (0.304, 0.492, 0.175)
O (0.505, 0.808, 0.176)
O (0.179, 0.694, 0.174)
O (0.696, 0.188, 0.325)
O (0.821, 0.514, 0.326)
O (0.495, 0.302, 0.324)
O (0.696, 0.508, 0.825)
O (0.495, 0.192, 0.824)
O (0.821, 0.306, 0.826)
O (0.197, 0.711, 0.576)
O (0.287, 0.489, 0.574)
O (0.521, 0.806, 0.576)
O (0.197, 0.486, 0.076)
O (0.521, 0.715, 0.076)
O (0.287, 0.798, 0.074)
O (0.803, 0.289, 0.424)
O (0.713, 0.511, 0.426)
O (0.479, 0.194, 0.424)
O (0.803, 0.514, 0.924)
O (0.479, 0.285, 0.924)
O (0.713, 0.202, 0.926)
O (0.781, 0.523, 0.622)
O (0.479, 0.257, 0.623)
O (0.742, 0.220, 0.623)
O (0.781, 0.258, 0.122)
O (0.742, 0.522, 0.123)
O (0.479, 0.221, 0.123)
O (0.219, 0.477, 0.378)
O (0.521, 0.743, 0.377)
O (0.258, 0.780, 0.377)
O (0.219, 0.742, 0.878)
O (0.258, 0.478, 0.877)
O (0.521, 0.779, 0.877)
F (0.000, 0.000, 0.628)
F (0.000, 0.000, 0.128)
F (0.000, 0.000, 0.372)
F (0.000, 0.000, 0.872)
F (0.844, 0.759, 0.705)
F (0.238, 0.087, 0.705)
F (0.914, 0.154, 0.704)
F (0.844, 0.085, 0.205)
F (0.914, 0.760, 0.204)
F (0.238, 0.151, 0.205)
F (0.156, 0.241, 0.295)
F (0.762, 0.913, 0.295)
F (0.086, 0.846, 0.296)
F (0.156, 0.915, 0.795)
F (0.086, 0.240, 0.796)
F (0.762, 0.849, 0.795)
F (0.930, 0.774, 0.546)
F (0.229, 0.156, 0.545)
F (0.842, 0.071, 0.545)
F (0.930, 0.156, 0.046)
F (0.842, 0.772, 0.045)
F (0.229, 0.073, 0.045)
F (0.070, 0.226, 0.454)
F (0.771, 0.844, 0.455)
F (0.158, 0.929, 0.455)
F (0.070, 0.844, 0.954)
F (0.158, 0.228, 0.955)
F (0.771, 0.927, 0.955)
F (0.459, 0.844, 0.773)
F (0.172, 0.624, 0.767)
F (0.378, 0.548, 0.769)
F (0.459, 0.615, 0.273)
F (0.378, 0.830, 0.269)
F (0.172, 0.548, 0.267)
F (0.541, 0.156, 0.227)
F (0.828, 0.376, 0.233)
F (0.622, 0.452, 0.231)
F (0.541, 0.385, 0.727)
F (0.622, 0.170, 0.731)
F (0.828, 0.452, 0.733)
F (0.386, 0.829, 0.485)
F (0.158, 0.546, 0.479)
F (0.450, 0.612, 0.481)
F (0.386, 0.557, 0.985)
F (0.450, 0.838, 0.981)
F (0.158, 0.612, 0.979)
F (0.614, 0.171, 0.515)
F (0.842, 0.454, 0.521)
F (0.550, 0.388, 0.519)
F (0.614, 0.443, 0.015)
F (0.550, 0.162, 0.019)
F (0.842, 0.388, 0.021)

=====

3.
Rb2MnH2OF5 | PBE with a Hubbard U | relaxed

Properties
**E**: -5.04 eV per atom
**Density**: 3.3 g/cm3
**SG**: No. 63
**Energy of formation**: -242.6 kJ/mol of atoms
**Total magnetization**: 0.00 μB/atom

a = 6.352 Å, b = 8.537 Å, c = 6.352 Å
α = 90.00°, β = 99.26°, γ = 90.00°
Element x y z (fractional)
Rb (0.502, 0.750, 0.920)
Rb (0.498, 0.250, 0.080)
Rb (0.920, 0.750, 0.502)
Rb (0.080, 0.250, 0.498)
Mn (0.000, 0.000, 0.000)
Mn (0.000, 0.500, 0.000)
H (0.369, 0.842, 0.369)
H (0.631, 0.342, 0.631)
H (0.369, 0.658, 0.369)
H (0.631, 0.158, 0.631)
O (0.441, 0.750, 0.441)
O (0.559, 0.250, 0.559)
F (0.011, 0.250, 0.011)
F (0.989, 0.750, 0.989)
F (0.805, 0.000, 0.195)
F (0.195, 0.500, 0.805)
F (0.195, 0.000, 0.805)
F (0.805, 0.500, 0.195)
F (0.233, 0.996, 0.233)
F (0.767, 0.496, 0.767)
F (0.233, 0.504, 0.233)
F (0.767, 0.004, 0.767)

=====

4.
MnSiH12O6F6 | PBE with a Hubbard U | relaxed

Properties
**E**: -5.29 eV per atom
**Density**: 1.8 g/cm3
**SG**: No. 2
**Energy of formation**: -183.8 kJ/mol of atoms
**Total magnetization**: 0.19 μB/atom

a = 9.851 Å, b = 9.844 Å, c = 9.877 Å
α = 89.91°, β = 90.03°, γ = 119.96°
Element x y z (fractional)
Mn (0.000, 0.000, 0.000)
Mn (0.667, 0.333, 0.328)
Mn (0.333, 0.667, 0.672)
Si (0.000, 0.000, 0.500)
Si (0.667, 0.333, 0.827)
Si (0.333, 0.667, 0.173)
H (0.840, 0.034, 0.778)
H (0.194, 0.160, 0.778)
H (0.966, 0.806, 0.778)
H (0.160, 0.966, 0.222)
H (0.806, 0.840, 0.222)
H (0.034, 0.194, 0.222)
H (0.833, 0.145, 0.892)
H (0.311, 0.166, 0.893)
H (0.855, 0.689, 0.893)
H (0.167, 0.855, 0.108)
H (0.689, 0.834, 0.107)
H (0.145, 0.311, 0.107)
H (0.716, 0.187, 0.552)
H (0.471, 0.284, 0.552)
H (0.813, 0.529, 0.552)
H (0.284, 0.813, 0.448)
H (0.529, 0.716, 0.448)
H (0.187, 0.471, 0.448)
H (0.831, 0.183, 0.441)
H (0.353, 0.169, 0.440)
H (0.816, 0.647, 0.440)
H (0.169, 0.817, 0.559)
H (0.647, 0.831, 0.560)
H (0.184, 0.353, 0.560)
H (0.504, 0.018, 0.222)
H (0.515, 0.496, 0.222)
H (0.982, 0.486, 0.222)
H (0.496, 0.982, 0.778)
H (0.485, 0.504, 0.778)
H (0.018, 0.514, 0.778)
H (0.532, 0.137, 0.102)
H (0.604, 0.468, 0.102)
H (0.863, 0.395, 0.102)
H (0.468, 0.863, 0.898)
H (0.396, 0.532, 0.898)
H (0.137, 0.605, 0.898)
O (0.851, 0.057, 0.875)
O (0.205, 0.149, 0.875)
O (0.943, 0.795, 0.875)
O (0.149, 0.943, 0.125)
O (0.795, 0.851, 0.125)
O (0.057, 0.205, 0.125)
O (0.746, 0.207, 0.457)
O (0.461, 0.254, 0.457)
O (0.793, 0.539, 0.457)
O (0.254, 0.793, 0.543)
O (0.539, 0.746, 0.543)
O (0.207, 0.461, 0.543)
O (0.554, 0.129, 0.197)
O (0.575, 0.446, 0.197)
O (0.871, 0.425, 0.197)
O (0.446, 0.871, 0.803)
O (0.425, 0.554, 0.803)
O (0.129, 0.575, 0.803)
F (0.129, 0.154, 0.601)
F (0.025, 0.871, 0.601)
F (0.846, 0.975, 0.601)
F (0.871, 0.846, 0.399)
F (0.975, 0.129, 0.399)
F (0.154, 0.025, 0.399)
F (0.639, 0.179, 0.726)
F (0.540, 0.361, 0.726)
F (0.821, 0.460, 0.726)
F (0.361, 0.821, 0.274)
F (0.460, 0.639, 0.274)
F (0.179, 0.540, 0.274)
F (0.512, 0.206, 0.928)
F (0.693, 0.488, 0.928)
F (0.794, 0.307, 0.928)
F (0.488, 0.794, 0.072)
F (0.307, 0.512, 0.072)
F (0.206, 0.693, 0.072)

=====

5.
MnTl2H2OF5 | PBE with a Hubbard U | relaxed

Properties
**E**: -4.91 eV per atom
**Density**: 5.6 g/cm3
**Energy of formation**: -206.0 kJ/mol of atoms
**Total magnetization**: 0.00 μB/atom

a = 6.401 Å, b = 12.852 Å, c = 8.506 Å
α = 90.00°, β = 90.00°, γ = 103.18°
Element x y z (fractional)
Mn (0.000, 0.500, 0.500)
Mn (0.000, 0.000, 0.000)
Mn (0.000, 0.000, 0.500)
Mn (0.000, 0.500, 0.000)
Tl (0.889, 0.246, 0.750)
Tl (0.889, 0.746, 0.750)
Tl (0.111, 0.254, 0.250)
Tl (0.111, 0.754, 0.250)
Tl (0.493, 0.445, 0.750)
Tl (0.493, 0.945, 0.750)
Tl (0.507, 0.055, 0.250)
Tl (0.507, 0.555, 0.250)
H (0.369, 0.185, 0.843)
H (0.369, 0.685, 0.843)
H (0.631, 0.315, 0.343)
H (0.631, 0.815, 0.343)
H (0.369, 0.185, 0.657)
H (0.369, 0.685, 0.657)
H (0.631, 0.315, 0.157)
H (0.631, 0.815, 0.157)
O (0.443, 0.223, 0.750)
O (0.443, 0.723, 0.750)
O (0.557, 0.277, 0.250)
O (0.557, 0.777, 0.250)
F (0.003, 0.002, 0.250)
F (0.003, 0.502, 0.250)
F (0.997, 0.498, 0.750)
F (0.997, 0.998, 0.750)
F (0.188, 0.406, 0.001)
F (0.188, 0.906, 0.000)
F (0.812, 0.094, 0.500)
F (0.812, 0.594, 0.501)
F (0.811, 0.094, 0.999)
F (0.812, 0.594, 0.000)
F (0.189, 0.406, 0.500)
F (0.189, 0.906, 0.500)
F (0.241, 0.120, 0.002)
F (0.242, 0.620, 0.003)
F (0.759, 0.380, 0.503)
F (0.759, 0.880, 0.503)
F (0.242, 0.120, 0.497)
F (0.241, 0.620, 0.497)
F (0.759, 0.380, 0.997)
F (0.759, 0.880, 0.997)